Here is a relaxed structure of SmPO4 from Materials Project. Energies are from r²SCAN.

Calculated values
Its total energy is -13.736 eV/atom. The total magnetization is 0.00 μB/f.u.

Unit cell a=6.353 b=6.891 c=8.049 alpha=90.00 beta=126.18 gamma=90.00
Space group P2_1/c (No. 14)
Symmetry-distinct sites (fractional):
Sm (0.184, 0.156, 0.282) [4 per cell]
P (0.311, 0.661, 0.198) [4 per cell]
O (0.119, 0.666, 0.617) [4 per cell]
O (0.188, 0.503, 0.250) [4 per cell]
O (0.339, 0.603, 0.028) [4 per cell]
O (0.410, 0.211, 0.122) [4 per cell]

Here is a relaxed structure of CeCu6 from Materials Project. Energies are from r²SCAN.

Calculated values
Its total energy is -13.809 eV/atom. The total magnetization is 0.94 μB/f.u.

Unit cell a=5.038 b=10.048 c=8.012 alpha=90.00 beta=91.59 gamma=90.00
Space group P2_1/c (No. 14)
Symmetry-distinct sites (fractional):
Ce (0.240, 0.064, 0.239) [4 per cell]
Cu (0.000, 0.194, 0.567) [4 per cell]
Cu (0.250, 0.516, 0.099) [4 per cell]
Cu (0.251, 0.745, 0.682) [4 per cell]
Cu (0.257, 0.143, 0.851) [4 per cell]
Cu (0.276, 0.596, 0.437) [4 per cell]
Cu (0.491, 0.189, 0.562) [4 per cell]

Here is a relaxed structure of Rb17Fe5O16 from Materials Project. Energies are from r²SCAN.

Calculated values
Its total energy is -12.177 eV/atom. The total magnetization is 25.00 μB/f.u.

Unit cell a=6.977 b=36.938 c=7.009 alpha=90.00 beta=119.49 gamma=90.00
Space group Cm (No. 8)
Symmetry-distinct sites (fractional):
Rb (0.000, 0.000, 0.978) [2 per cell]
Rb (0.000, 0.166, 0.000) [4 per cell]
Rb (0.037, 0.453, 0.393) [4 per cell]
Rb (0.042, 0.361, 0.410) [4 per cell]
Rb (0.048, 0.265, 0.395) [4 per cell]
Rb (0.444, 0.226, 0.855) [4 per cell]
Rb (0.454, 0.137, 0.865) [4 per cell]
Rb (0.456, 0.046, 0.853) [4 per cell]
Rb (0.495, 0.417, 0.269) [4 per cell]
Fe (0.497, 0.322, 0.481) [4 per cell]
Fe (0.497, 0.411, 0.773) [4 per cell]
Fe (0.497, 0.500, 0.475) [2 per cell]
O (0.000, 0.128, 0.592) [4 per cell]
O (0.240, 0.408, 0.794) [4 per cell]
O (0.241, 0.315, 0.209) [4 per cell]
O (0.242, 0.500, 0.201) [2 per cell]
O (0.251, 0.092, 0.048) [4 per cell]
O (0.254, 0.000, 0.456) [2 per cell]
O (0.256, 0.186, 0.466) [4 per cell]
O (0.493, 0.289, 0.683) [4 per cell]
O (0.497, 0.457, 0.636) [4 per cell]